(1)
Below is CSe4Br2 after structural relaxation, with properties calculated at the r2SCAN level.

```
data_CSe4Br2
_chemical_formula_sum 'C4 Se16 Br8'
_cell_length_a 21.3989
_cell_length_b 4.3765
_cell_length_c 8.5752
_cell_angle_alpha 90.00
_cell_angle_beta 90.00
_cell_angle_gamma 90.00
_symmetry_space_group_name_H-M 'P n a 21'
_symmetry_Int_Tables_number 33
loop_
_symmetry_equiv_pos_as_xyz
'x,y,z'
'-x,-y,z+1/2'
'-x+1/2,y+1/2,z+1/2'
'x+1/2,-y+1/2,z'
loop_
_atom_site_label
_atom_site_fract_x
_atom_site_fract_y
_atom_site_fract_z
C1 0.1209 0.0798 0.0000
Se1 0.0767 0.2160 0.8272
Se2 0.0924 0.1071 0.2021
Se3 0.1899 0.8732 0.2684
Se4 0.1991 0.8993 0.9910
Br1 0.0115 0.6199 0.5052
Br2 0.1705 0.0311 0.6564
```

Total energy = -13.25 eV per atom
Formation enthalpy at 0 K = 132.8 meV per atom
Total magnetization = 0.00 Bohr magnetons per cell


(2)
Below is Tb2CBr after structural relaxation, with properties calculated at the r2SCAN level.

```
data_Tb2CBr
_chemical_formula_sum 'Tb4 C2 Br2'
_cell_length_a 3.6948
_cell_length_b 3.6948
_cell_length_c 14.1280
_cell_angle_alpha 90.00
_cell_angle_beta 90.00
_cell_angle_gamma 120.00
_symmetry_space_group_name_H-M 'P 63/m m c'
_symmetry_Int_Tables_number 194
_symmetry_space_group_name_Hall '-P 6c 2c'
loop_
_atom_site_label
_atom_site_fract_x
_atom_site_fract_y
_atom_site_fract_z
Tb1 0.3333 0.6667 0.0905
C1 0.0000 0.0000 0.0000
Br1 0.3333 0.6667 0.7500
```

Total energy = -22.61 eV per atom
Formation enthalpy at 0 K = -1190.6 meV per atom
Total magnetization = 0.35 Bohr magnetons per cell


(3)
Below is Tb5C2Br9 after structural relaxation, with properties calculated at the r2SCAN level.

```
data_Tb5C2Br9
_chemical_formula_sum 'Tb20 C8 Br36'
_cell_length_a 9.9888
_cell_length_b 16.4888
_cell_length_c 13.4243
_cell_angle_alpha 90.00
_cell_angle_beta 121.39
_cell_angle_gamma 90.00
_symmetry_space_group_name_H-M 'P 1 21/c 1'
_symmetry_Int_Tables_number 14
loop_
_symmetry_equiv_pos_as_xyz
'x,y,z'
'-x,-y,-z'
'-x,y+1/2,-z+1/2'
'x,-y+1/2,z+1/2'
loop_
_atom_site_label
_atom_site_fract_x
_atom_site_fract_y
_atom_site_fract_z
Tb1 0.0057 0.0558 0.2630
Tb2 0.0099 0.6627 0.7215
Tb3 0.1633 0.0414 0.0362
Tb4 0.2156 0.6866 0.5552
Tb5 0.3615 0.5584 0.8134
C1 0.0733 0.5306 0.6699
C2 0.1284 0.5888 0.6200
Br1 0.0841 0.1986 0.1702
Br2 0.0920 0.0681 0.6518
Br3 0.0981 0.6920 0.1414
Br4 0.2858 0.1744 0.9689
Br5 0.3032 0.5684 0.4424
Br6 0.3038 0.6823 0.9390
Br7 0.3188 0.0588 0.4595
Br8 0.4706 0.0640 0.2376
Br9 0.4911 0.1817 0.7460
```

Total energy = -20.31 eV per atom
Formation enthalpy at 0 K = -1850.9 meV per atom
Total magnetization = 0.00 Bohr magnetons per cell


(4)
Below is TbCBr after structural relaxation, with properties calculated at the r2SCAN level.

```
data_TbCBr
_chemical_formula_sum 'Tb4 C4 Br4'
_cell_length_a 7.0202
_cell_length_b 3.7998
_cell_length_c 10.3232
_cell_angle_alpha 90.00
_cell_angle_beta 99.36
_cell_angle_gamma 90.00
_symmetry_space_group_name_H-M 'C 1 2/m 1'
_symmetry_Int_Tables_number 12
loop_
_symmetry_equiv_pos_as_xyz
'x,y,z'
'-x,-y,-z'
'-x,y,-z'
'x,-y,z'
'x+1/2,y+1/2,z'
'-x+1/2,-y+1/2,-z'
'-x+1/2,y+1/2,-z'
'x+1/2,-y+1/2,z'
loop_
_atom_site_label
_atom_site_fract_x
_atom_site_fract_y
_atom_site_fract_z
Tb1 0.0936 0.0000 0.3570
C1 0.0875 0.5000 0.5365
Br1 0.2040 0.5000 0.1723
```

Total energy = -19.46 eV per atom
Formation enthalpy at 0 K = -1313.7 meV per atom
Total magnetization = 0.00 Bohr magnetons per cell


(5)
Below is Tb4C2Br3 after structural relaxation, with properties calculated at the r2SCAN level.

```
data_Tb4C2Br3
_chemical_formula_sum 'Tb16 C8 Br12'
_cell_length_a 10.7917
_cell_length_b 3.6982
_cell_length_c 20.4095
_cell_angle_alpha 90.00
_cell_angle_beta 90.00
_cell_angle_gamma 90.00
_symmetry_space_group_name_H-M 'P n m a'
_symmetry_Int_Tables_number 62
loop_
_symmetry_equiv_pos_as_xyz
'x,y,z'
'-x,-y,-z'
'-x+1/2,-y,z+1/2'
'x+1/2,y,-z+1/2'
'x+1/2,-y+1/2,-z+1/2'
'-x+1/2,y+1/2,z+1/2'
'-x,y+1/2,-z'
'x,-y+1/2,z'
loop_
_atom_site_label
_atom_site_fract_x
_atom_site_fract_y
_atom_site_fract_z
Tb1 0.1032 0.2500 0.1705
Tb2 0.1307 0.2500 0.7555
Tb3 0.1329 0.2500 0.9206
Tb4 0.1341 0.2500 0.3313
C1 0.1175 0.7500 0.2491
C2 0.1303 0.7500 0.8443
Br1 0.1143 0.7500 0.4453
Br2 0.1288 0.7500 0.0463
Br3 0.1330 0.7500 0.6421
```

Total energy = -21.91 eV per atom
Formation enthalpy at 0 K = -1400.1 meV per atom
Total magnetization = 0.00 Bohr magnetons per cell


(6)
Below is CsCaBr3 after structural relaxation, with properties calculated at the r2SCAN level.

```
data_CsCaBr3
_chemical_formula_sum 'Cs1 Ca1 Br3'
_cell_length_a 5.7087
_cell_length_b 5.7087
_cell_length_c 5.7087
_cell_angle_alpha 90.00
_cell_angle_beta 90.00
_cell_angle_gamma 90.00
_symmetry_space_group_name_H-M 'P m -3 m'
_symmetry_Int_Tables_number 221
_symmetry_space_group_name_Hall '-P 4 2 3'
loop_
_atom_site_label
_atom_site_fract_x
_atom_site_fract_y
_atom_site_fract_z
Cs1 0.0000 0.0000 0.0000
Ca1 0.5000 0.5000 0.5000
Br1 0.0000 0.5000 0.5000
```

Total energy = -16.63 eV per atom
Formation enthalpy at 0 K = -2248.4 meV per atom
Total magnetization = 0.00 Bohr magnetons per cell


(7)
Below is CaHBr after structural relaxation, with properties calculated at the r2SCAN level.

```
data_CaHBr
_chemical_formula_sum 'Ca2 H2 Br2'
_cell_length_a 3.8373
_cell_length_b 3.8373
_cell_length_c 8.2788
_cell_angle_alpha 90.00
_cell_angle_beta 90.00
_cell_angle_gamma 90.00
_symmetry_space_group_name_H-M 'P 4/n m m'
_symmetry_Int_Tables_number 129
loop_
_symmetry_equiv_pos_as_xyz
'x,y,z'
'-x,-y,-z'
'-y+1/2,x,z'
'y+1/2,-x,-z'
'-x+1/2,-y+1/2,z'
'x+1/2,y+1/2,-z'
'y,-x+1/2,z'
'-y,x+1/2,-z'
'x+1/2,-y,-z'
'-x+1/2,y,z'
'-y,-x,-z'
'y,x,z'
'-x,y+1/2,-z'
'x,-y+1/2,z'
'y+1/2,x+1/2,-z'
'-y+1/2,-x+1/2,z'
loop_
_atom_site_label
_atom_site_fract_x
_atom_site_fract_y
_atom_site_fract_z
Ca1 0.2500 0.2500 0.1568
H1 0.2500 0.7500 0.0000
Br1 0.2500 0.2500 0.6808
```

Total energy = -9.45 eV per atom
Formation enthalpy at 0 K = -1529.6 meV per atom
Total magnetization = 0.00 Bohr magnetons per cell


(8)
Below is Ca2H3Br after structural relaxation, with properties calculated at the r2SCAN level.

```
data_Ca2H3Br
_chemical_formula_sum 'Ca2 H3 Br1'
_cell_length_a 3.9029
_cell_length_b 3.9029
_cell_length_c 6.8535
_cell_angle_alpha 90.00
_cell_angle_beta 90.00
_cell_angle_gamma 120.00
_symmetry_space_group_name_H-M 'P -3 m 1'
_symmetry_Int_Tables_number 164
_symmetry_space_group_name_Hall '-P 3 2"'
loop_
_atom_site_label
_atom_site_fract_x
_atom_site_fract_y
_atom_site_fract_z
Ca1 0.3333 0.6667 0.3142
H1 0.0000 0.0000 0.5000
H2 0.3333 0.6667 0.6495
Br1 0.0000 0.0000 0.0000
```

Total energy = -7.37 eV per atom
Formation enthalpy at 0 K = -1084.5 meV per atom
Total magnetization = 0.00 Bohr magnetons per cell


(9)
Below is KCaBr3 after structural relaxation, with properties calculated at the r2SCAN level.

```
data_KCaBr3
_chemical_formula_sum 'K2 Ca2 Br6'
_cell_length_a 4.2672
_cell_length_b 10.7542
_cell_length_c 7.3807
_cell_angle_alpha 90.00
_cell_angle_beta 106.80
_cell_angle_gamma 90.00
_symmetry_space_group_name_H-M 'P 1 21/m 1'
_symmetry_Int_Tables_number 11
loop_
_symmetry_equiv_pos_as_xyz
'x,y,z'
'-x,-y,-z'
'-x,y+1/2,-z'
'x,-y+1/2,z'
loop_
_atom_site_label
_atom_site_fract_x
_atom_site_fract_y
_atom_site_fract_z
K1 0.2472 0.2500 0.4925
Ca1 0.5000 0.0000 0.0000
Br1 0.1344 0.5568 0.2693
Br2 0.4270 0.7500 0.8557
```

Total energy = -12.77 eV per atom
Formation enthalpy at 0 K = -2208.1 meV per atom
Total magnetization = 0.00 Bohr magnetons per cell


(10)
Below is KCaBr3 after structural relaxation, with properties calculated at the r2SCAN level.

```
data_KCaBr3
_chemical_formula_sum 'K4 Ca4 Br12'
_cell_length_a 8.0595
_cell_length_b 10.9753
_cell_length_c 7.5899
_cell_angle_alpha 90.00
_cell_angle_beta 90.00
_cell_angle_gamma 90.00
_symmetry_space_group_name_H-M 'P n m a'
_symmetry_Int_Tables_number 62
loop_
_symmetry_equiv_pos_as_xyz
'x,y,z'
'-x,-y,-z'
'-x+1/2,-y,z+1/2'
'x+1/2,y,-z+1/2'
'x+1/2,-y+1/2,-z+1/2'
'-x+1/2,y+1/2,z+1/2'
'-x,y+1/2,-z'
'x,-y+1/2,z'
loop_
_atom_site_label
_atom_site_fract_x
_atom_site_fract_y
_atom_site_fract_z
K1 0.0799 0.2500 0.0276
Ca1 0.0000 0.0000 0.5000
Br1 0.0308 0.7500 0.3898
Br2 0.1969 0.5554 0.8095
```

Total energy = -12.77 eV per atom
Formation enthalpy at 0 K = -2202.7 meV per atom
Total magnetization = 0.00 Bohr magnetons per cell


(11)
Below is CdBr2 after structural relaxation, with properties calculated at the r2SCAN level.

```
data_CdBr2
_chemical_formula_sum 'Cd3 Br6'
_cell_length_a 4.0222
_cell_length_b 4.0222
_cell_length_c 19.4715
_cell_angle_alpha 90.00
_cell_angle_beta 90.00
_cell_angle_gamma 120.00
_symmetry_space_group_name_H-M 'R -3 m'
_symmetry_Int_Tables_number 166
_symmetry_space_group_name_Hall '-R 3 2"'
loop_
_atom_site_label
_atom_site_fract_x
_atom_site_fract_y
_atom_site_fract_z
Cd1 0.0000 0.0000 0.0000
Br1 0.0000 0.0000 0.2531
```

Total energy = -16.60 eV per atom
Formation enthalpy at 0 K = -1055.7 meV per atom
Total magnetization = 0.00 Bohr magnetons per cell


(12)
Below is CdBr2 after structural relaxation, with properties calculated at the r2SCAN level.

```
data_CdBr2
_chemical_formula_sum 'Cd2 Br4'
_cell_length_a 4.0195
_cell_length_b 4.0195
_cell_length_c 12.9357
_cell_angle_alpha 90.00
_cell_angle_beta 90.00
_cell_angle_gamma 120.00
_symmetry_space_group_name_H-M 'P 63 m c'
_symmetry_Int_Tables_number 186
_symmetry_space_group_name_Hall 'P 6c -2c'
loop_
_atom_site_label
_atom_site_fract_x
_atom_site_fract_y
_atom_site_fract_z
Cd1 0.3333 0.6667 0.0000
Br1 0.0000 0.0000 0.3791
Br2 0.3333 0.6667 0.6208
```

Total energy = -16.60 eV per atom
Formation enthalpy at 0 K = -1055.5 meV per atom
Total magnetization = 0.00 Bohr magnetons per cell


(13)
Below is CdBr2 after structural relaxation, with properties calculated at the r2SCAN level.

```
data_CdBr2
_chemical_formula_sum 'Cd6 Br12'
_cell_length_a 4.0185
_cell_length_b 4.0185
_cell_length_c 39.6822
_cell_angle_alpha 90.00
_cell_angle_beta 90.00
_cell_angle_gamma 120.00
_symmetry_space_group_name_H-M 'R -3 m'
_symmetry_Int_Tables_number 166
_symmetry_space_group_name_Hall '-R 3 2"'
loop_
_atom_site_label
_atom_site_fract_x
_atom_site_fract_y
_atom_site_fract_z
Cd1 0.0000 0.0000 0.0000
Cd2 0.0000 0.0000 0.5000
Br1 0.0000 0.0000 0.1273
Br2 0.0000 0.0000 0.2939
```

Total energy = -16.60 eV per atom
Formation enthalpy at 0 K = -1055.8 meV per atom
Total magnetization = 0.00 Bohr magnetons per cell


(14)
Below is Cd3Co2H44Br12N12O4 after structural relaxation, with properties calculated at the r2SCAN level.

```
data_Cd3Co2H44Br12N12O4
_chemical_formula_sum 'Cd3 Co2 H44 Br12 N12 O4'
_cell_length_a 8.8265
_cell_length_b 8.9021
_cell_length_c 12.5196
_cell_angle_alpha 89.32
_cell_angle_beta 69.43
_cell_angle_gamma 83.14
_symmetry_space_group_name_H-M 'P -1'
_symmetry_Int_Tables_number 2
loop_
_symmetry_equiv_pos_as_xyz
'x,y,z'
'-x,-y,-z'
loop_
_atom_site_label
_atom_site_fract_x
_atom_site_fract_y
_atom_site_fract_z
Cd1 0.0000 0.0000 0.0000
Cd2 0.1385 0.3803 0.8387
Co1 0.3209 0.2011 0.2970
H1 0.0188 0.1837 0.3815
H2 0.0688 0.1945 0.2423
H3 0.1032 0.4296 0.3580
H4 0.1049 0.0336 0.2995
H5 0.1228 0.6679 0.2364
H6 0.1750 0.1776 0.5100
H7 0.1987 0.6738 0.1057
H8 0.2088 0.4203 0.4428
H9 0.2554 0.0118 0.4506
H10 0.2813 0.3748 0.1427
H11 0.2838 0.4861 0.3154
H12 0.3316 0.1995 0.0927
H13 0.3536 0.9172 0.2547
H14 0.3711 0.1258 0.4810
H15 0.3717 0.8162 0.7578
H16 0.3755 0.7548 0.4569
H17 0.4427 0.3121 0.5759
H18 0.4475 0.6374 0.7446
H19 0.4579 0.7362 0.6300
H20 0.4714 0.2985 0.1002
H21 0.4787 0.0370 0.7341
H22 0.4853 0.9961 0.1487
Br1 0.0060 0.6922 0.9327
Br2 0.1355 0.7831 0.4057
Br3 0.1684 0.0766 0.7704
Br4 0.2014 0.4993 0.6303
Br5 0.2843 0.9222 0.0299
Br6 0.4323 0.3987 0.8499
N1 0.1071 0.1478 0.3049
N2 0.2188 0.4034 0.3595
N3 0.2780 0.1220 0.4507
N4 0.3548 0.2768 0.1430
N5 0.4300 0.9993 0.2355
N6 0.4677 0.7413 0.7093
O1 0.1355 0.6117 0.1661
O2 0.4768 0.7700 0.4680
```

Total energy = -7.57 eV per atom
Formation enthalpy at 0 K = -673.0 meV per atom
Total magnetization = 0.00 Bohr magnetons per cell


(15)
Below is Cs2CdBr4 after structural relaxation, with properties calculated at the r2SCAN level.

```
data_Cs2CdBr4
_chemical_formula_sum 'Cs8 Cd4 Br16'
_cell_length_a 7.9310
_cell_length_b 10.2906
_cell_length_c 16.1722
_cell_angle_alpha 90.00
_cell_angle_beta 118.32
_cell_angle_gamma 90.00
_symmetry_space_group_name_H-M 'P 1 21/c 1'
_symmetry_Int_Tables_number 14
loop_
_symmetry_equiv_pos_as_xyz
'x,y,z'
'-x,-y,-z'
'-x,y+1/2,-z+1/2'
'x,-y+1/2,z+1/2'
loop_
_atom_site_label
_atom_site_fract_x
_atom_site_fract_y
_atom_site_fract_z
Cs1 0.0499 0.0114 0.3227
Cs2 0.3696 0.1185 0.1036
Cd1 0.3278 0.7209 0.0758
Br1 0.1143 0.6695 0.4128
Br2 0.2255 0.6905 0.6968
Br3 0.3150 0.0301 0.5799
Br4 0.3298 0.1831 0.8693
```

Total energy = -19.26 eV per atom
Formation enthalpy at 0 K = -1639.3 meV per atom
Total magnetization = 0.00 Bohr magnetons per cell